# 1
The following is a PBE+U calculation of an optimized crystal structure of Co3AgAs3O12, from the Materials Project. Values from VASP.

Structure (Quantum ESPRESSO input):
```
&SYSTEM
  ibrav = 0, nat = 38, ntyp = 4
/
ATOMIC_SPECIES
Co 58.93 Co.upf
Ag 107.87 Ag.upf
As 74.92 As.upf
O 16.00 O.upf
CELL_PARAMETERS angstrom
6.387 5.969 0.000
-6.387 5.969 0.000
0.000 2.678 6.240
ATOMIC_POSITIONS crystal
Co 0.724 0.276 0.750
Co 0.276 0.724 0.250
Co 0.054 0.376 0.875
Co 0.624 0.946 0.625
Co 0.946 0.624 0.125
Co 0.376 0.054 0.375
Ag 0.013 0.987 0.750
Ag 0.987 0.013 0.250
As 0.305 0.695 0.750
As 0.695 0.305 0.250
As 0.878 0.654 0.618
As 0.346 0.122 0.882
As 0.122 0.346 0.382
As 0.654 0.878 0.118
O 0.151 0.164 0.900
O 0.836 0.849 0.600
O 0.849 0.836 0.100
O 0.164 0.151 0.400
O 0.720 0.516 0.665
O 0.484 0.280 0.835
O 0.280 0.484 0.335
O 0.516 0.720 0.165
O 0.262 0.495 0.767
O 0.505 0.738 0.733
O 0.738 0.505 0.233
O 0.495 0.262 0.267
O 0.981 0.326 0.631
O 0.674 0.019 0.869
O 0.019 0.674 0.369
O 0.326 0.981 0.131
O 0.975 0.602 0.818
O 0.398 0.025 0.682
O 0.025 0.398 0.182
O 0.602 0.975 0.318
O 0.186 0.727 0.982
O 0.273 0.814 0.518
O 0.814 0.273 0.018
O 0.727 0.186 0.482
```

Output
Calculated formation energy   -1375 meV/atom
Space group   C2/c, No. 15
Raw total energy   -5.815 eV per atom

***

# 2
The following is a PBE+U calculation of an optimized crystal structure of MgMn4O6, from the Materials Project. Values from VASP.

Structure (Quantum ESPRESSO input):
```
&SYSTEM
  ibrav = 0, nat = 22, ntyp = 3
/
ATOMIC_SPECIES
Mg 24.30 Mg.upf
Mn 54.94 Mn.upf
O 16.00 O.upf
CELL_PARAMETERS angstrom
3.041 -0.003 0.000
-1.525 5.131 0.000
0.000 -0.001 15.421
ATOMIC_POSITIONS crystal
Mg 0.660 0.320 0.750
Mg 0.340 0.680 0.250
Mn 0.864 0.728 0.455
Mn 0.136 0.272 0.545
Mn 0.404 0.809 0.642
Mn 0.596 0.191 0.358
Mn 0.864 0.728 0.045
Mn 0.136 0.272 0.955
Mn 0.596 0.191 0.142
Mn 0.404 0.809 0.858
O 0.500 0.000 0.500
O 0.500 0.000 0.000
O 0.293 0.587 0.750
O 0.707 0.413 0.250
O 0.055 0.111 0.841
O 0.945 0.889 0.159
O 0.945 0.889 0.341
O 0.055 0.111 0.659
O 0.780 0.560 0.928
O 0.220 0.440 0.072
O 0.220 0.440 0.428
O 0.780 0.560 0.572
```

Output
Calculated formation energy   -2126 meV/atom
Space group   P2_1/m, No. 11
E above lowest polymorph   7 meV per atom
Raw total energy   -7.321 eV per atom

***

> The lowest calculated formation energy belongs to which entry?

MgMn4O6